(1)
Entry from the Materials Project database: crystalline UN2 at its relaxed geometry (PBE).

Summary:
Space-group type = No. 225
MP2020-corrected energy = -10.918 eV/atom
Formation energy from the elements = -1596 meV per atom

The structure in POSCAR format:
```
UN2
1.0
-0.123 -2.889 2.360
0.481 0.558 3.659
-2.883 -0.377 2.340
N U
2 1
Cartesian
-1.894 -2.031 6.269 N
-0.631 -0.677 2.090 N
0.000 0.000 0.000 U
```

***

(2)
Entry from the Materials Project database: crystalline ZrVCu at its relaxed geometry (PBE).

Summary:
Space-group type = No. 38
Formation energy from the elements = -37 meV per atom

The structure in POSCAR format:
```
ZrVCu
1.0
2.553 -4.523 0.000
2.553 4.523 0.000
0.000 0.000 8.462
Cu Zr V
4 4 4
Cartesian
2.553 4.521 6.371 Cu
2.553 4.521 2.091 Cu
3.812 -0.775 0.000 Cu
1.294 -0.775 0.000 Cu
2.553 1.553 6.898 Zr
2.553 -1.488 5.828 Zr
2.553 1.553 1.564 Zr
2.553 -1.488 2.633 Zr
2.553 2.919 4.231 V
3.771 0.769 4.231 V
2.553 -3.034 0.000 V
1.335 0.769 4.231 V
```